P3Pb5O13 after structural relaxation, computed with PBE.

Results
Formation energy from the elements (eV per atom): -2.222
Calculated volume (Å³/cell): 639
ΔE to the lowest computed polymorph (meV/atom): 0
E_tot (eV per cell): -273.7

a = 9.933 Å, b = 9.933 Å, c = 7.476 Å
α = 90.00°, β = 90.00°, γ = 120.00°
Fractional positions:
P 0.030 0.631 0.250
P 0.369 0.399 0.250
P 0.399 0.030 0.750
P 0.601 0.970 0.250
P 0.631 0.601 0.750
P 0.970 0.369 0.750
Pb 0.003 0.767 0.750
Pb 0.233 0.236 0.750
Pb 0.236 0.003 0.250
Pb 0.333 0.667 0.000
Pb 0.333 0.667 0.500
Pb 0.667 0.333 0.000
Pb 0.667 0.333 0.500
Pb 0.764 0.997 0.750
Pb 0.767 0.764 0.250
Pb 0.997 0.233 0.250
O 0.000 0.000 0.250
O 0.000 0.000 0.750
O 0.085 0.740 0.083
O 0.085 0.740 0.417
O 0.116 0.534 0.250
O 0.149 0.479 0.750
O 0.260 0.345 0.083
O 0.260 0.345 0.417
O 0.330 0.851 0.750
O 0.345 0.085 0.583
O 0.345 0.085 0.917
O 0.419 0.884 0.250
O 0.466 0.581 0.250
O 0.479 0.330 0.250
O 0.521 0.670 0.750
O 0.534 0.419 0.750
O 0.581 0.116 0.750
O 0.655 0.915 0.083
O 0.655 0.915 0.417
O 0.670 0.149 0.250
O 0.740 0.655 0.583
O 0.740 0.655 0.917
O 0.851 0.521 0.250
O 0.884 0.466 0.750
O 0.915 0.260 0.583
O 0.915 0.260 0.917

---

SiO2 after structural relaxation, computed with PBE.

Results
Formation energy from the elements (eV per atom): -2.541
Calculated volume (Å³/cell): 2240
E_tot (eV per cell): -1035.4

a = 13.084 Å, b = 13.084 Å, c = 13.084 Å
α = 90.00°, β = 90.00°, γ = 90.00°
Fractional positions:
Si 0.115 0.362 0.375
Si 0.115 0.362 0.625
Si 0.115 0.638 0.375
Si 0.115 0.638 0.625
Si 0.125 0.138 0.385
Si 0.125 0.138 0.615
Si 0.125 0.862 0.385
Si 0.125 0.862 0.615
Si 0.138 0.385 0.125
Si 0.138 0.385 0.875
Si 0.138 0.615 0.125
Si 0.138 0.615 0.875
Si 0.362 0.375 0.115
Si 0.362 0.375 0.885
Si 0.362 0.625 0.115
Si 0.362 0.625 0.885
Si 0.375 0.115 0.362
Si 0.375 0.115 0.638
Si 0.375 0.885 0.362
Si 0.375 0.885 0.638
Si 0.385 0.125 0.138
Si 0.385 0.125 0.862
Si 0.385 0.875 0.138
Si 0.385 0.875 0.862
Si 0.615 0.125 0.138
Si 0.615 0.125 0.862
Si 0.615 0.875 0.138
Si 0.615 0.875 0.862
Si 0.625 0.115 0.362
Si 0.625 0.115 0.638
Si 0.625 0.885 0.362
Si 0.625 0.885 0.638
Si 0.638 0.375 0.115
Si 0.638 0.375 0.885
Si 0.638 0.625 0.115
Si 0.638 0.625 0.885
Si 0.862 0.385 0.125
Si 0.862 0.385 0.875
Si 0.862 0.615 0.125
Si 0.862 0.615 0.875
Si 0.875 0.138 0.385
Si 0.875 0.138 0.615
Si 0.875 0.862 0.385
Si 0.875 0.862 0.615
Si 0.885 0.362 0.375
Si 0.885 0.362 0.625
Si 0.885 0.638 0.375
Si 0.885 0.638 0.625
O 0.000 0.117 0.331
O 0.000 0.117 0.669
O 0.000 0.376 0.410
O 0.000 0.376 0.590
O 0.000 0.624 0.410
O 0.000 0.624 0.590
O 0.000 0.883 0.331
O 0.000 0.883 0.669
O 0.090 0.124 0.500
O 0.090 0.876 0.500
O 0.102 0.398 0.250
O 0.102 0.398 0.750
O 0.102 0.602 0.250
O 0.102 0.602 0.750
O 0.117 0.331 0.000
O 0.117 0.669 0.000
O 0.124 0.500 0.090
O 0.124 0.500 0.910
O 0.155 0.250 0.345
O 0.155 0.250 0.655
O 0.155 0.750 0.345
O 0.155 0.750 0.655
O 0.169 0.383 0.500
O 0.169 0.617 0.500
O 0.250 0.102 0.398
O 0.250 0.102 0.602
O 0.250 0.345 0.155
O 0.250 0.345 0.845
O 0.250 0.655 0.155
O 0.250 0.655 0.845
O 0.250 0.898 0.398
O 0.250 0.898 0.602
O 0.331 0.000 0.117
O 0.331 0.000 0.883
O 0.345 0.155 0.250
O 0.345 0.155 0.750
O 0.345 0.845 0.250
O 0.345 0.845 0.750
O 0.376 0.410 0.000
O 0.376 0.590 0.000
O 0.383 0.500 0.169
O 0.383 0.500 0.831
O 0.398 0.250 0.102
O 0.398 0.250 0.898
O 0.398 0.750 0.102
O 0.398 0.750 0.898
O 0.410 0.000 0.376
O 0.410 0.000 0.624
O 0.500 0.090 0.124
O 0.500 0.090 0.876
O 0.500 0.169 0.383
O 0.500 0.169 0.617
O 0.500 0.831 0.383
O 0.500 0.831 0.617
O 0.500 0.910 0.124
O 0.500 0.910 0.876
O 0.590 0.000 0.376
O 0.590 0.000 0.624
O 0.602 0.250 0.102
O 0.602 0.250 0.898
O 0.602 0.750 0.102
O 0.602 0.750 0.898
O 0.617 0.500 0.169
O 0.617 0.500 0.831
O 0.624 0.410 0.000
O 0.624 0.590 0.000
O 0.655 0.155 0.250
O 0.655 0.155 0.750
O 0.655 0.845 0.250
O 0.655 0.845 0.750
O 0.669 0.000 0.117
O 0.669 0.000 0.883
O 0.750 0.102 0.398
O 0.750 0.102 0.602
O 0.750 0.345 0.155
O 0.750 0.345 0.845
O 0.750 0.655 0.155
O 0.750 0.655 0.845
O 0.750 0.898 0.398
O 0.750 0.898 0.602
O 0.831 0.383 0.500
O 0.831 0.617 0.500
O 0.845 0.250 0.345
O 0.845 0.250 0.655
O 0.845 0.750 0.345
O 0.845 0.750 0.655
O 0.876 0.500 0.090
O 0.876 0.500 0.910
O 0.883 0.331 0.000
O 0.883 0.669 0.000
O 0.898 0.398 0.250
O 0.898 0.398 0.750
O 0.898 0.602 0.250
O 0.898 0.602 0.750
O 0.910 0.124 0.500
O 0.910 0.876 0.500

---

Nd2Co7 after structural relaxation, computed with PBE.

Results
Formation energy from the elements (eV per atom): 0.006
Calculated volume (Å³/cell): 542
ΔE to the lowest computed polymorph (meV/atom): 30
E_tot (eV per cell): -237.0

a = 5.056 Å, b = 5.056 Å, c = 24.480 Å
α = 90.00°, β = 90.00°, γ = 120.00°
Fractional positions:
Nd 0.333 0.667 0.028
Nd 0.333 0.667 0.173
Nd 0.333 0.667 0.327
Nd 0.333 0.667 0.472
Nd 0.667 0.333 0.528
Nd 0.667 0.333 0.673
Nd 0.667 0.333 0.827
Nd 0.667 0.333 0.972
Co 0.000 0.000 0.000
Co 0.000 0.000 0.168
Co 0.000 0.000 0.332
Co 0.000 0.000 0.500
Co 0.000 0.000 0.668
Co 0.000 0.000 0.832
Co 0.166 0.331 0.589
Co 0.166 0.331 0.911
Co 0.166 0.834 0.589
Co 0.166 0.834 0.911
Co 0.167 0.333 0.750
Co 0.167 0.833 0.750
Co 0.331 0.166 0.089
Co 0.331 0.166 0.411
Co 0.333 0.167 0.250
Co 0.333 0.667 0.668
Co 0.333 0.667 0.832
Co 0.667 0.333 0.168
Co 0.667 0.333 0.332
Co 0.667 0.833 0.750
Co 0.669 0.834 0.589
Co 0.669 0.834 0.911
Co 0.833 0.167 0.250
Co 0.833 0.667 0.250
Co 0.834 0.166 0.089
Co 0.834 0.166 0.411
Co 0.834 0.669 0.089
Co 0.834 0.669 0.411

---

Na2AlHgBr6 after structural relaxation, computed with PBE.

Results
Formation energy from the elements (eV per atom): -1.255
Calculated volume (Å³/cell): 328
E_tot (eV per cell): -25.9

a = 7.745 Å, b = 7.745 Å, c = 7.745 Å
α = 60.00°, β = 60.00°, γ = 60.00°
Fractional positions:
Na 0.250 0.250 0.250
Na 0.750 0.750 0.750
Al 0.000 0.000 0.000
Hg 0.500 0.500 0.500
Br 0.231 0.231 0.769
Br 0.231 0.769 0.231
Br 0.231 0.769 0.769
Br 0.769 0.231 0.231
Br 0.769 0.231 0.769
Br 0.769 0.769 0.231

---

Te2Mo2WSe2S2 after structural relaxation, computed with PBE.

Results
Formation energy from the elements (eV per atom): -0.598
Calculated volume (Å³/cell): 301
ΔE to the lowest computed polymorph (meV/atom): 48
E_tot (eV per cell): -60.6

a = 3.352 Å, b = 3.352 Å, c = 30.939 Å
α = 90.00°, β = 90.00°, γ = 120.00°
Fractional positions:
Te 0.000 0.000 0.000
Te 0.000 0.000 0.123
Mo 0.000 0.000 0.830
Mo 0.667 0.333 0.599
W 0.667 0.333 0.062
Se 0.000 0.000 0.545
Se 0.000 0.000 0.653
S 0.667 0.333 0.781
S 0.667 0.333 0.879

---

BaLa2I8 after structural relaxation, computed with PBE.

Results
Formation energy from the elements (eV per atom): -1.813
Calculated volume (Å³/cell): 454
E_tot (eV per cell): -40.9

a = 8.865 Å, b = 8.865 Å, c = 6.382 Å
α = 97.88°, β = 97.88°, γ = 111.00°
Fractional positions:
Ba 0.000 0.000 0.000
La 0.319 0.681 0.500
La 0.681 0.319 0.500
I 0.060 0.324 0.578
I 0.246 0.754 0.000
I 0.324 0.060 0.578
I 0.381 0.381 0.195
I 0.619 0.619 0.805
I 0.676 0.940 0.422
I 0.754 0.246 0.000
I 0.940 0.676 0.422

---

Mg14FeSn after structural relaxation, computed with PBE.

Results
Formation energy from the elements (eV per atom): 0.079
Calculated volume (Å³/cell): 343
ΔE to the lowest computed polymorph (meV/atom): 34
E_tot (eV per cell): -33.6

a = 6.218 Å, b = 6.218 Å, c = 10.251 Å
α = 90.00°, β = 90.00°, γ = 120.00°
Fractional positions:
Mg 0.000 0.000 0.249
Mg 0.000 0.000 0.751
Mg 0.011 0.505 0.264
Mg 0.011 0.505 0.736
Mg 0.330 0.165 0.500
Mg 0.334 0.167 0.000
Mg 0.495 0.505 0.264
Mg 0.495 0.505 0.736
Mg 0.495 0.989 0.264
Mg 0.495 0.989 0.736
Mg 0.833 0.167 0.000
Mg 0.833 0.666 0.000
Mg 0.835 0.165 0.500
Mg 0.835 0.670 0.500
Fe 0.333 0.667 0.500
Sn 0.333 0.667 0.000

---

Zn3B2O6 after structural relaxation, computed with PBE.

Results
Formation energy from the elements (eV per atom): -2.280
Calculated volume (Å³/cell): 524
ΔE to the lowest computed polymorph (meV/atom): 0
E_tot (eV per cell): -271.1

a = 6.451 Å, b = 8.413 Å, c = 10.128 Å
α = 89.75°, β = 89.72°, γ = 72.28°
Fractional positions:
Zn 0.017 0.290 0.418
Zn 0.106 0.067 0.157
Zn 0.224 0.105 0.677
Zn 0.250 0.402 0.077
Zn 0.439 0.717 0.179
Zn 0.479 0.721 0.661
Zn 0.521 0.279 0.339
Zn 0.561 0.283 0.821
Zn 0.750 0.598 0.923
Zn 0.776 0.895 0.323
Zn 0.894 0.933 0.843
Zn 0.983 0.710 0.582
B 0.157 0.577 0.326
B 0.182 0.587 0.825
B 0.337 0.899 0.916
B 0.337 0.934 0.412
B 0.663 0.066 0.588
B 0.663 0.101 0.084
B 0.818 0.413 0.175
B 0.843 0.423 0.674
O 0.006 0.310 0.117
O 0.024 0.714 0.391
O 0.168 0.006 0.844
O 0.182 0.063 0.350
O 0.223 0.594 0.198
O 0.228 0.422 0.388
O 0.240 0.618 0.697
O 0.304 0.449 0.894
O 0.327 0.904 0.053
O 0.330 0.915 0.548
O 0.493 0.215 0.148
O 0.498 0.177 0.661
O 0.502 0.823 0.339
O 0.507 0.785 0.852
O 0.670 0.085 0.452
O 0.673 0.096 0.947
O 0.696 0.551 0.106
O 0.760 0.382 0.303
O 0.772 0.578 0.612
O 0.777 0.406 0.802
O 0.818 0.937 0.650
O 0.832 0.994 0.156
O 0.976 0.286 0.609
O 0.994 0.690 0.883

---

SiSbPt5 after structural relaxation, computed with PBE.

Results
Formation energy from the elements (eV per atom): -0.262
Calculated volume (Å³/cell): 120
ΔE to the lowest computed polymorph (meV/atom): 151
E_tot (eV per cell): -41.7

a = 3.964 Å, b = 3.964 Å, c = 7.659 Å
α = 90.00°, β = 90.00°, γ = 90.00°
Fractional positions:
Si 0.000 0.000 0.000
Sb 0.500 0.500 0.500
Pt 0.000 0.500 0.249
Pt 0.000 0.500 0.751
Pt 0.500 0.000 0.249
Pt 0.500 0.000 0.751
Pt 0.500 0.500 0.000

---

TmS2 after structural relaxation, computed with PBE.

Results
Formation energy from the elements (eV per atom): -1.966
Calculated volume (Å³/cell): 114
E_tot (eV per cell): -35.3

a = 3.814 Å, b = 3.814 Å, c = 7.864 Å
α = 90.00°, β = 90.00°, γ = 90.00°
Fractional positions:
Tm 0.250 0.250 0.226
Tm 0.750 0.750 0.774
S 0.250 0.250 0.869
S 0.250 0.750 0.500
S 0.750 0.250 0.500
S 0.750 0.750 0.131

---

Cu2SiNiS4 after structural relaxation, computed with PBE.

Results
Formation energy from the elements (eV per atom): -0.403
Calculated volume (Å³/cell): 141
E_tot (eV per cell): -37.2

a = 4.789 Å, b = 4.789 Å, c = 6.170 Å
α = 90.00°, β = 90.00°, γ = 94.29°
Fractional positions:
Cu 0.000 0.500 0.000
Cu 0.500 0.000 0.000
Si 0.000 0.000 0.500
Ni 0.500 0.500 0.500
S 0.253 0.253 0.258
S 0.253 0.253 0.742
S 0.747 0.747 0.258
S 0.747 0.747 0.742

---

ZrMnNi after structural relaxation, computed with PBE.

Results
Formation energy from the elements (eV per atom): -0.273
Calculated volume (Å³/cell): 89
E_tot (eV per cell): -48.6

a = 5.006 Å, b = 5.006 Å, c = 5.006 Å
α = 119.99°, β = 119.84°, γ = 90.15°
Fractional positions:
Zr 0.376 0.126 0.250
Zr 0.624 0.874 0.750
Mn 0.000 0.500 0.500
Mn 0.500 0.500 0.000
Ni 0.000 0.000 0.500
Ni 0.000 0.500 0.000